(1)
# CsPd2F5 | Materials Project | meta-GGA r2SCAN | optimized geometry
data_CsPd2F5
_space_group_name_H-M_alt 'I m m a'
_space_group_IT_number 74
_space_group_name_Hall '-I 2b 2'
_cell_length_a 6.478
_cell_length_b 7.875
_cell_length_c 10.754
_cell_angle_alpha 90.00
_cell_angle_beta 90.00
_cell_angle_gamma 90.00
loop_
_atom_site_label
_atom_site_fract_x
_atom_site_fract_y
_atom_site_fract_z
Cs1 0.000 0.250 0.111
Pd1 0.000 0.000 0.500
Pd2 0.250 0.250 0.750
F1 0.000 0.250 0.413
F2 0.246 0.073 0.880
# Total magnetic moment   8.0 μB/cell
# V   549 Å³ per cell
# DFT formation energy   -14.81 eV/f.u.


(2)
# Y3Sc3Ga2O12 | Materials Project | meta-GGA r2SCAN | optimized geometry
data_Y3Sc3Ga2O12
_space_group_name_H-M_alt 'I a -3 d'
_space_group_IT_number 230
_space_group_name_Hall '-I 4bd 2c 3'
_cell_length_a 12.608
_cell_length_b 12.608
_cell_length_c 12.608
_cell_angle_alpha 90.00
_cell_angle_beta 90.00
_cell_angle_gamma 90.00
loop_
_atom_site_label
_atom_site_fract_x
_atom_site_fract_y
_atom_site_fract_z
Y1 0.000 0.250 0.125
Sc1 0.000 0.250 0.375
Ga1 0.000 0.000 0.000
O1 0.023 0.057 0.648
# Total magnetic moment   0.0 μB/cell
# V   2004 Å³ per cell
# DFT formation energy   -65.84 eV/f.u.


(3)
# TiP2O7 | Materials Project | meta-GGA r2SCAN | optimized geometry
data_TiP2O7
_space_group_name_H-M_alt 'P a -3'
_space_group_IT_number 205
_space_group_name_Hall '-P 2ac 2ab 3'
_cell_length_a 8.133
_cell_length_b 8.133
_cell_length_c 8.133
_cell_angle_alpha 90.00
_cell_angle_beta 90.00
_cell_angle_gamma 90.00
loop_
_atom_site_label
_atom_site_fract_x
_atom_site_fract_y
_atom_site_fract_z
Ti1 0.000 0.000 0.000
P1 0.111 0.611 0.889
O1 0.000 0.000 0.500
O2 0.058 0.714 0.415
# Total magnetic moment   0.0 μB/cell
# V   538 Å³ per cell
# Energy relative to the lowest polymorph listed for this composition   0.187 eV/f.u.
# DFT formation energy   -26.90 eV/f.u.


(4)
# Tb2Ga8Co | Materials Project | meta-GGA r2SCAN | optimized geometry
data_Tb2Ga8Co
_space_group_name_H-M_alt 'P 4/m m m'
_space_group_IT_number 123
_space_group_name_Hall '-P 4 2'
_cell_length_a 4.198
_cell_length_b 4.198
_cell_length_c 11.053
_cell_angle_alpha 90.00
_cell_angle_beta 90.00
_cell_angle_gamma 90.00
loop_
_atom_site_label
_atom_site_fract_x
_atom_site_fract_y
_atom_site_fract_z
Tb1 0.000 0.000 0.195
Ga1 0.000 0.500 0.000
Ga2 0.000 0.500 0.385
Ga3 0.500 0.500 0.195
Co1 0.000 0.000 0.500
# Total magnetic moment   0.0 μB/cell
# V   195 Å³ per cell
# DFT formation energy   -5.52 eV/f.u.


(5)
# La2CCl | Materials Project | meta-GGA r2SCAN | optimized geometry
data_La2CCl
_space_group_name_H-M_alt 'R -3 m'
_space_group_IT_number 166
_space_group_name_Hall '-R 3 2"'
_cell_length_a 3.8595
_cell_length_b 3.8595
_cell_length_c 21.9595
_cell_angle_alpha 90.00
_cell_angle_beta 90.00
_cell_angle_gamma 120.00
loop_
_atom_site_label
_atom_site_fract_x
_atom_site_fract_y
_atom_site_fract_z
La1 0.0000 0.0000 0.2314
C1 0.0000 0.0000 0.5000
Cl1 0.0000 0.0000 0.0000
# Total magnetic moment   0.0 μB/cell
# V   283 Å³ per cell
# DFT formation energy   -4.98 eV/f.u.


(6)
# Rb3AsF6 | Materials Project | meta-GGA r2SCAN | optimized geometry
data_Rb3AsF6
_space_group_name_H-M_alt 'F m -3 m'
_space_group_IT_number 225
_space_group_name_Hall '-F 4 2 3'
_cell_length_a 9.293
_cell_length_b 9.293
_cell_length_c 9.293
_cell_angle_alpha 90.00
_cell_angle_beta 90.00
_cell_angle_gamma 90.00
loop_
_atom_site_label
_atom_site_fract_x
_atom_site_fract_y
_atom_site_fract_z
Rb1 0.000 0.000 0.000
Rb2 0.250 0.250 0.250
As1 0.000 0.000 0.500
F1 0.000 0.000 0.280
# Total magnetic moment   0.0 μB/cell
# V   802 Å³ per cell
# DFT formation energy   -26.08 eV/f.u.


(7)
# Li3CeBi2 | Materials Project | meta-GGA r2SCAN | optimized geometry
data_Li3CeBi2
_space_group_name_H-M_alt 'P -3 m 1'
_space_group_IT_number 164
_space_group_name_Hall '-P 3 2"'
_cell_length_a 4.7223
_cell_length_b 4.7223
_cell_length_c 7.5289
_cell_angle_alpha 90.00
_cell_angle_beta 90.00
_cell_angle_gamma 120.00
loop_
_atom_site_label
_atom_site_fract_x
_atom_site_fract_y
_atom_site_fract_z
Li1 0.0000 0.0000 0.0000
Li2 0.3333 0.6667 0.8554
Ce1 0.0000 0.0000 0.5000
Bi1 0.3333 0.6667 0.2454
# Total magnetic moment   1.0 μB/cell
# V   145 Å³ per cell
# DFT formation energy   -5.06 eV/f.u.


(8)
# Ti3GeC2 | Materials Project | meta-GGA r2SCAN | optimized geometry
data_Ti3GeC2
_space_group_name_H-M_alt 'P 63/m m c'
_space_group_IT_number 194
_space_group_name_Hall '-P 6c 2c'
_cell_length_a 3.0923
_cell_length_b 3.0923
_cell_length_c 17.8136
_cell_angle_alpha 90.00
_cell_angle_beta 90.00
_cell_angle_gamma 120.00
loop_
_atom_site_label
_atom_site_fract_x
_atom_site_fract_y
_atom_site_fract_z
Ti1 0.0000 0.0000 0.0000
Ti2 0.3333 0.6667 0.1330
Ge1 0.0000 0.0000 0.2500
C1 0.3333 0.6667 0.5720
# Total magnetic moment   0.0 μB/cell
# V   148 Å³ per cell
# DFT formation energy   -5.63 eV/f.u.


(9)
# AlReGe | Materials Project | meta-GGA r2SCAN | optimized geometry
data_AlReGe
_space_group_name_H-M_alt 'I 4 m m'
_space_group_IT_number 107
_space_group_name_Hall 'I 4 -2'
_cell_length_a 3.241
_cell_length_b 3.241
_cell_length_c 8.122
_cell_angle_alpha 90.00
_cell_angle_beta 90.00
_cell_angle_gamma 90.00
loop_
_atom_site_label
_atom_site_fract_x
_atom_site_fract_y
_atom_site_fract_z
Al1 0.000 0.000 0.000
Re1 0.000 0.000 0.332
Ge1 0.000 0.000 0.673
# Total magnetic moment   0.0 μB/cell
# V   85 Å³ per cell
# DFT formation energy   -0.87 eV/f.u.


(10)
# Pr2CdSb4 | Materials Project | meta-GGA r2SCAN | optimized geometry
data_Pr2CdSb4
_space_group_name_H-M_alt 'P -4 m 2'
_space_group_IT_number 115
_cell_length_a 4.349
_cell_length_b 4.349
_cell_length_c 11.099
_cell_angle_alpha 90.00
_cell_angle_beta 90.00
_cell_angle_gamma 90.00
loop_
_space_group_symop_operation_xyz
'x,y,z'
'y,-x,-z'
'-x,-y,z'
'-y,x,-z'
'-x,y,z'
'-y,-x,-z'
'x,-y,z'
'y,x,-z'
loop_
_atom_site_label
_atom_site_fract_x
_atom_site_fract_y
_atom_site_fract_z
Pr1 0.000 0.500 0.234
Cd1 0.500 0.500 0.500
Sb1 0.000 0.000 0.000
Sb2 0.000 0.500 0.667
Sb3 0.500 0.500 0.000
# Total magnetic moment   0.0 μB/cell
# V   210 Å³ per cell
# DFT formation energy   -5.89 eV/f.u.


(11)
# NbSe2 | Materials Project | meta-GGA r2SCAN | optimized geometry
data_NbSe2
_space_group_name_H-M_alt 'F m m 2'
_space_group_IT_number 42
_space_group_name_Hall 'F 2 -2'
_cell_length_a 3.499
_cell_length_b 24.604
_cell_length_c 6.059
_cell_angle_alpha 90.00
_cell_angle_beta 90.00
_cell_angle_gamma 90.00
loop_
_atom_site_label
_atom_site_fract_x
_atom_site_fract_y
_atom_site_fract_z
Nb1 0.000 0.000 0.000
Se1 0.000 0.068 0.333
# Total magnetic moment   4.0 μB/cell
# V   522 Å³ per cell
# DFT formation energy   -2.89 eV/f.u.


(12)
# Tl2SiF6 | Materials Project | meta-GGA r2SCAN | optimized geometry
data_Tl2SiF6
_space_group_name_H-M_alt 'F m -3 m'
_space_group_IT_number 225
_space_group_name_Hall '-F 4 2 3'
_cell_length_a 8.391
_cell_length_b 8.391
_cell_length_c 8.391
_cell_angle_alpha 90.00
_cell_angle_beta 90.00
_cell_angle_gamma 90.00
loop_
_atom_site_label
_atom_site_fract_x
_atom_site_fract_y
_atom_site_fract_z
Tl1 0.250 0.250 0.250
Si1 0.000 0.000 0.000
F1 0.000 0.000 0.203
# Total magnetic moment   0.0 μB/cell
# V   591 Å³ per cell
# DFT formation energy   -25.53 eV/f.u.


Please write out number 12 again, unchanged.
# Tl2SiF6 | Materials Project | meta-GGA r2SCAN | optimized geometry
data_Tl2SiF6
_space_group_name_H-M_alt 'F m -3 m'
_space_group_IT_number 225
_space_group_name_Hall '-F 4 2 3'
_cell_length_a 8.391
_cell_length_b 8.391
_cell_length_c 8.391
_cell_angle_alpha 90.00
_cell_angle_beta 90.00
_cell_angle_gamma 90.00
loop_
_atom_site_label
_atom_site_fract_x
_atom_site_fract_y
_atom_site_fract_z
Tl1 0.250 0.250 0.250
Si1 0.000 0.000 0.000
F1 0.000 0.000 0.203
# Total magnetic moment   0.0 μB/cell
# V   591 Å³ per cell
# DFT formation energy   -25.53 eV/f.u.